# LiFePO4

A relaxed LiFePO4 crystal (PBE+U, the Materials Project).

a b c (Å): 5.9646 6.6603 9.5562
angles (deg): 71.77 82.64 79.48
Last column: nearest neighbours and their distance in Å.
Sites, in units of the cell vectors:
Li  0.0000  0.0000  0.0000  3 O 1.89-1.97
Li  0.0354  0.4801  0.0426  3 O 1.88-1.92
Li  0.1573  0.1380  0.4002  3 O 1.88-1.92
Li  0.1968  0.6191  0.4426  3 O 1.89-1.97
Fe  0.3950  0.4554  0.7890  5 O 2.01-2.23
Fe  0.5854  0.7458  0.0044  5 O 2.06-2.21
Fe  0.6122  0.8771  0.4373  5 O 2.06-2.21
Fe  0.8027  0.1646  0.6546  5 O 2.01-2.22
P  0.3127  0.9934  0.7296  4 O 1.54-1.57
P  0.4337  0.0960  0.1064  4 O 1.55-1.57
P  0.7617  0.5250  0.3363  4 O 1.55-1.57
P  0.8857  0.6286  0.7123  4 O 1.54-1.57
O  0.0649  0.0701  0.7842  1 P 1.55
O  0.1341  0.5525  0.6580  1 P 1.55
O  0.2871  0.9354  0.0889  1 P 1.56
O  0.3205  0.9920  0.5680  1 P 1.54
O  0.3358  0.3300  0.0177  1 P 1.57
O  0.3929  0.7645  0.8340  1 P 1.57
O  0.4239  0.0893  0.2716  1 P 1.56
O  0.4710  0.1482  0.7430  1 P 1.56
O  0.5161  0.5982  0.3957  1 P 1.55
O  0.6799  0.0249  0.0467  1 P 1.55
O  0.7277  0.4735  0.6991  1 P 1.56
O  0.7706  0.5327  0.1708  1 P 1.56
O  0.8062  0.8576  0.6076  1 P 1.57
O  0.8578  0.2904  0.4245  1 P 1.57
O  0.8773  0.6314  0.8736  1 P 1.54
O  0.9097  0.6845  0.3538  1 P 1.56

Symmetry: No. 1
Relative energy among the computed polymorphs: 0.397 eV/f.u.



# LiFeP2O7

A relaxed LiFeP2O7 crystal (PBE+U, the Materials Project).

a b c (Å): 5.0836 13.2557 9.7521
angles (deg): 90.00 119.36 90.00
Last column: nearest neighbours and their distance in Å.
Sites, in units of the cell vectors:
Li  0.0205  0.1215  0.1480  2 O 1.91-2.11
Li  0.0205  0.3785  0.6480  2 O 1.91-2.11
Li  0.9795  0.6215  0.3520  2 O 1.91-2.11
Li  0.9795  0.8785  0.8520  2 O 1.91-2.11
Fe  0.0336  0.6740  0.7345  5 O 1.94-2.02
Fe  0.0336  0.8260  0.2345  5 O 1.94-2.02
Fe  0.9664  0.1740  0.7655  5 O 1.94-2.02
Fe  0.9664  0.3260  0.2655  5 O 1.94-2.02
P  0.2784  0.1779  0.5427  4 O 1.53-1.61
P  0.2784  0.3221  0.0427  4 O 1.53-1.61
P  0.4760  0.0314  0.7763  3 O 1.48-1.57
P  0.4760  0.4686  0.2763  3 O 1.48-1.57
P  0.5240  0.5314  0.7237  3 O 1.48-1.57
P  0.5240  0.9686  0.2237  3 O 1.48-1.57
P  0.7216  0.6779  0.9573  4 O 1.53-1.61
P  0.7216  0.8221  0.4573  4 O 1.53-1.61
O  0.0600  0.1911  0.3657  1 P 1.54
O  0.0600  0.3089  0.8657  1 P 1.54
O  0.1561  0.2288  0.6410  1 P 1.53
O  0.1561  0.2712  0.1410  1 P 1.53
O  0.2188  0.0508  0.8165  1 P 1.56
O  0.2188  0.4492  0.3165  1 P 1.56
O  0.2642  0.6104  0.6396  1 P 1.57
O  0.2642  0.8896  0.1396  1 P 1.57
O  0.3132  0.0596  0.5854  2 P 1.61-1.67
O  0.3132  0.4404  0.0854  2 P 1.61-1.67
O  0.4063  0.7144  0.9191  1 P 1.54
O  0.4063  0.7856  0.4191  1 P 1.54
O  0.4169  0.0745  0.2047  1 P 1.48
O  0.4169  0.4255  0.7047  1 P 1.48
O  0.5831  0.5745  0.2953  1 P 1.48
O  0.5831  0.9255  0.7953  1 P 1.48
O  0.5937  0.2144  0.5809  1 P 1.54
O  0.5937  0.2856  0.0809  1 P 1.54
O  0.6868  0.5596  0.9146  2 P 1.61-1.67
O  0.6868  0.9404  0.4146  2 P 1.61-1.67
O  0.7358  0.1104  0.8604  1 P 1.57
O  0.7358  0.3896  0.3604  1 P 1.57
O  0.7812  0.5508  0.6835  1 P 1.56
O  0.7812  0.9492  0.1835  1 P 1.56
O  0.8439  0.7288  0.8590  1 P 1.53
O  0.8439  0.7712  0.3590  1 P 1.53
O  0.9400  0.6911  0.1343  1 P 1.54
O  0.9400  0.8089  0.6343  1 P 1.54

Symmetry: No. 14
Relative energy among the computed polymorphs: 0.875 eV/f.u.



# LiFe2P3O12

A relaxed LiFe2P3O12 crystal (PBE+U, the Materials Project).

a b c (Å): 8.7792 8.8200 12.2743
angles (deg): 89.78 89.88 89.95
Last column: nearest neighbours and their distance in Å.
Sites, in units of the cell vectors:
Li  0.0000  0.0000  0.0000  3 O 1.98-2.19
Li  0.0049  0.6816  0.4204  4 O 1.98-2.19
Li  0.1546  0.3693  0.8925  4 O 2.01-2.06
Li  0.6480  0.3188  0.3977  4 O 1.99-2.07
Fe  0.1880  0.1292  0.3301  6 O 1.99-2.02
Fe  0.1884  0.5575  0.0986  6 O 1.96-2.06
Fe  0.1945  0.6260  0.5987  6 O 1.97-2.06
Fe  0.1965  0.0473  0.8218  6 O 1.94-2.11
Fe  0.6776  0.0578  0.0927  6 O 1.99-2.11
Fe  0.6803  0.6360  0.3275  6 O 1.95-2.09
Fe  0.6911  0.1247  0.5984  6 O 1.98-2.08
Fe  0.6925  0.5514  0.8297  6 O 1.98-2.01
P  0.0449  0.6988  0.8586  4 O 1.53-1.55
P  0.0483  0.9817  0.5655  4 O 1.52-1.55
P  0.3206  0.1943  0.0636  4 O 1.53-1.55
P  0.3286  0.4848  0.3594  4 O 1.54-1.55
P  0.4054  0.3385  0.7128  4 O 1.52-1.55
P  0.4790  0.8397  0.7103  4 O 1.53-1.54
P  0.5439  0.9879  0.3578  4 O 1.53-1.55
P  0.5464  0.6982  0.0660  4 O 1.53-1.54
P  0.8314  0.4868  0.5641  4 O 1.53-1.55
P  0.8357  0.1996  0.8585  4 O 1.53-1.56
P  0.8978  0.3428  0.2141  4 O 1.53-1.55
P  0.9759  0.8417  0.2113  4 O 1.54-1.55
O  0.0074  0.4936  0.5676  1 P 1.55
O  0.0125  0.1885  0.8650  1 P 1.56
O  0.0702  0.9439  0.2865  1 P 1.54
O  0.0832  0.8137  0.5378  1 P 1.55
O  0.0858  0.7514  0.1386  1 P 1.54
O  0.0855  0.8647  0.8864  1 P 1.55
O  0.1066  0.0222  0.6786  1 P 1.52
O  0.1085  0.6521  0.7474  1 P 1.53
O  0.1090  0.5820  0.9416  1 P 1.55
O  0.1192  0.0926  0.4829  1 P 1.54
O  0.2354  0.5900  0.4358  1 P 1.55
O  0.2408  0.0831  0.9846  1 P 1.55
O  0.2678  0.1580  0.1800  1 P 1.53
O  0.2712  0.3584  0.0339  1 P 1.55
O  0.2826  0.5225  0.2416  1 P 1.54
O  0.2907  0.2526  0.7865  1 P 1.55
O  0.2912  0.3165  0.3834  1 P 1.55
O  0.3174  0.4468  0.6378  1 P 1.53
O  0.3685  0.9978  0.3610  1 P 1.54
O  0.3728  0.6784  0.0530  1 P 1.54
O  0.3783  0.7471  0.6327  1 P 1.54
O  0.3836  0.9410  0.7852  1 P 1.53
O  0.4951  0.1810  0.0555  1 P 1.54
O  0.5014  0.2328  0.6428  1 P 1.52
O  0.5030  0.5014  0.3753  1 P 1.55
O  0.5049  0.4337  0.7902  1 P 1.54
O  0.5712  0.7323  0.7832  1 P 1.53
O  0.5856  0.8646  0.0407  1 P 1.54
O  0.5897  0.9321  0.6400  1 P 1.53
O  0.5909  0.8243  0.3822  1 P 1.53
O  0.6004  0.6543  0.1802  1 P 1.53
O  0.6005  0.0367  0.2444  1 P 1.54
O  0.6104  0.1036  0.4402  1 P 1.55
O  0.6213  0.5904  0.9832  1 P 1.54
O  0.7693  0.5317  0.6759  1 P 1.53
O  0.7741  0.3262  0.5348  1 P 1.55
O  0.7777  0.0853  0.9457  1 P 1.55
O  0.7783  0.1535  0.7458  1 P 1.53
O  0.7825  0.4292  0.2866  1 P 1.55
O  0.7832  0.6017  0.4748  1 P 1.55
O  0.7916  0.3640  0.8832  1 P 1.53
O  0.8082  0.2355  0.1394  1 P 1.54
O  0.8697  0.6855  0.8590  1 P 1.54
O  0.8753  0.0040  0.5550  1 P 1.54
O  0.8782  0.9382  0.1327  1 P 1.55
O  0.8829  0.7364  0.2871  1 P 1.54
O  0.9965  0.4472  0.1434  1 P 1.53
O  0.9989  0.2488  0.2918  1 P 1.54

Symmetry: No. 1
Relative energy among the computed polymorphs: 0.030 eV/f.u.



# LiFePO4

A relaxed LiFePO4 crystal (PBE+U, the Materials Project).

a b c (Å): 5.1389 8.5726 8.7597
angles (deg): 106.90 90.03 90.05
Last column: nearest neighbours and their distance in Å.
Sites, in units of the cell vectors:
Li  0.0000  0.0000  0.0000  4 O 1.97-2.04
Li  0.1300  0.6192  0.5081  4 O 1.96-2.04
Li  0.5050  0.1196  0.5086  4 O 1.95-2.04
Li  0.6356  0.5000  0.9998  4 O 1.98-2.04
Fe  0.0062  0.2428  0.7543  4 O 2.01-2.07
Fe  0.1402  0.8625  0.2589  4 O 2.02-2.06
Fe  0.4949  0.3627  0.2590  4 O 2.02-2.07
Fe  0.6294  0.7428  0.7540  4 O 2.01-2.07
P  0.0109  0.2308  0.3790  4 O 1.55-1.56
P  0.1221  0.6251  0.8800  4 O 1.55-1.56
P  0.5133  0.1250  0.8802  4 O 1.55-1.56
P  0.6239  0.7308  0.3786  4 O 1.55-1.56
O  0.0109  0.6617  0.7284  1 P 1.56
O  0.0517  0.7729  0.0250  1 P 1.55
O  0.0855  0.0901  0.2286  1 P 1.55
O  0.1202  0.1821  0.5252  1 P 1.56
O  0.1422  0.3907  0.3684  1 P 1.55
O  0.2145  0.0993  0.8622  1 P 1.55
O  0.4208  0.5999  0.8622  1 P 1.55
O  0.4939  0.8911  0.3682  1 P 1.55
O  0.5150  0.6821  0.5246  1 P 1.56
O  0.5474  0.5905  0.2280  1 P 1.55
O  0.5839  0.2726  0.0254  1 P 1.55
O  0.6239  0.1624  0.7290  1 P 1.56
O  0.6441  0.9700  0.9038  1 P 1.56
O  0.7115  0.2537  0.3948  1 P 1.55
O  0.9237  0.7531  0.3941  1 P 1.55
O  0.9913  0.4701  0.9040  1 P 1.56

Symmetry: No. 1
Relative energy among the computed polymorphs: 0.058 eV/f.u.



no.,E_form (meV/atom)
1,-2424
2,-2447
3,-2248
4,-2472